# 1
4
Lattice="0.000 3.231 3.231 3.231 0.000 3.231 3.231 3.231 0.000" Properties=species:S:1:pos:R:3 comment="PaMn2Ga | Materials Project | r²SCAN | optimized geometry" m_tot_mub_per_cell=5.35 crystal_system=cubic sg="Fm-3m, No. 225" pbc="T T T"
Pa 0.000 0.000 0.000
Mn 1.615 1.615 1.615
Mn 4.846 4.846 4.846
Ga 3.231 3.231 3.231

=====

# 2
8
Lattice="3.080 0.000 0.000 -1.540 2.668 0.000 0.000 0.000 13.933" Properties=species:S:1:pos:R:3 comment="Ta2AlC | Materials Project | r²SCAN | optimized geometry" m_tot_mub_per_cell=0.00 crystal_system=hexagonal sg="P6_3/mmc, No. 194" pbc="T T T"
Ta 0.000 1.779 1.252
Ta 0.000 1.779 5.715
Ta 1.540 0.889 8.219
Ta 1.540 0.889 12.682
Al 0.000 1.779 10.450
Al 1.540 0.889 3.483
C 0.000 0.000 0.000
C 0.000 0.000 6.967

=====

# 3
5
Lattice="-1.895 6.566 1.897 1.895 -6.566 1.897 1.895 6.566 -1.897" Properties=species:S:1:pos:R:3 comment="Er2SbO2 | Materials Project | r²SCAN | optimized geometry" m_tot_mub_per_cell=0.00 crystal_system=orthorhombic sg="Imm2, No. 44" pbc="T T T"
Er 0.000 2.189 0.000
Er 0.000 10.942 0.000
Sb 1.895 0.000 1.891
O 1.895 3.285 0.000
O 0.000 3.281 1.897

=====

# 4
5
Lattice="-1.878 1.878 7.143 1.878 -1.878 7.143 1.878 1.878 -7.143" Properties=species:S:1:pos:R:3 comment="RbCo2As2 | Materials Project | r²SCAN | optimized geometry" m_tot_mub_per_cell=0.00 crystal_system=tetragonal sg="I4/mmm, No. 139" pbc="T T T"
Rb 0.000 0.000 0.000
Co 1.878 0.000 3.571
Co 0.000 1.878 3.571
As 0.000 0.000 4.879
As 0.000 0.000 9.407

=====

# 5
5
Lattice="-2.298 2.298 5.186 2.298 -2.298 5.186 2.298 2.298 -5.186" Properties=species:S:1:pos:R:3 comment="BaGe3Pd | Materials Project | r²SCAN | optimized geometry" m_tot_mub_per_cell=0.00 crystal_system=tetragonal sg="I4mm, No. 107" pbc="T T T"
Ba 0.000 0.000 0.000
Ge 2.298 0.000 2.612
Ge 0.000 0.000 4.086
Ge 0.000 2.298 2.612
Pd 0.000 0.000 6.707

=====

# 6
32
Lattice="11.016 0.000 0.000 0.000 3.923 0.000 0.000 0.000 11.441" Properties=species:S:1:pos:R:3 comment="La2TiO5 | Materials Project | r²SCAN | optimized geometry" m_tot_mub_per_cell=0.00 crystal_system=orthorhombic sg="Pnma, No. 62" pbc="T T T"
La 1.066 0.981 2.469
La 1.501 0.981 6.415
La 4.008 2.943 0.695
La 4.442 2.943 8.189
La 6.575 0.981 3.251
La 7.009 0.981 10.746
La 9.516 2.943 5.026
La 9.950 2.943 8.972
Ti 2.119 0.981 9.987
Ti 3.390 2.943 4.266
Ti 7.627 0.981 7.175
Ti 8.898 2.943 1.454
O 0.089 2.943 6.887
O 0.395 0.981 9.511
O 2.429 2.943 2.630
O 2.497 0.981 0.396
O 2.613 2.943 10.027
O 2.895 0.981 4.307
O 3.011 2.943 6.116
O 3.079 0.981 8.351
O 5.113 2.943 3.791
O 5.419 0.981 1.167
O 5.598 2.943 10.274
O 5.903 0.981 7.650
O 7.937 2.943 3.090
O 8.006 0.981 5.325
O 8.121 2.943 7.134
O 8.404 0.981 1.414
O 8.519 2.943 11.045
O 8.588 0.981 8.811
O 10.621 2.943 1.929
O 10.927 0.981 4.553

=====

| no. | VASP energy (eV per cell) | E_form (eV/atom) |
| --- | --- | --- |
| 1 | -118.16 | -0.12 |
| 2 | -232.37 | -0.58 |
| 3 | -120.68 | -3.04 |
| 4 | -71.71 | -0.38 |
| 5 | -93.87 | -0.56 |
| 6 | -527.67 | -3.70 |